234
Lattice="-3.353 2.342 17.117 1.140 -8.096 -3.158 21.399 1.126 4.586" Properties=species:S:1:pos:R:3 comment="PBE Na10Al4Zn4Si3S9O48, optimized geometry" formation_enthalpy_0k_ev_per_atom=-2.275 magnetic_moment_mub_per_fu=0.00 corrected_energy_ev_per_atom=-6.432 crystal_system=triclinic vol_a3_per_atom=12.519 pbc="T T T"
Na 5.062 -2.266 3.175
Na 3.385 -1.116 11.728
Na 2.837 -2.563 16.090
Na 4.624 -3.674 7.617
Na 15.570 -3.656 6.927
Na 13.904 -2.445 15.450
Na 13.162 0.352 19.317
Na 15.278 1.242 6.594
Na 13.602 2.393 15.146
Na 11.366 -3.813 9.313
Na 12.611 -6.425 5.178
Na 10.893 -5.215 13.741
Na 2.296 -7.459 -0.085
Na 0.612 -6.289 8.469
Na 1.635 -4.681 3.836
Na -0.031 -3.509 12.390
Na 6.879 1.928 13.187
Na 8.357 -4.150 5.831
Na 10.614 0.572 2.542
Na 8.961 1.633 10.947
Na 21.345 0.931 4.616
Na 19.661 2.088 13.173
Na 17.002 -0.851 8.724
Na 15.411 0.315 17.083
Na 6.368 -1.483 6.248
Na 4.680 -0.477 14.780
Na 3.716 -4.715 1.594
Na 2.062 -3.547 10.164
Na 14.351 -4.343 3.685
Na 12.706 -3.021 12.292
Al 11.584 -4.990 16.902
Al 12.224 1.810 11.547
Al -0.129 2.382 17.661
Al 1.535 1.234 9.134
Al 20.299 -0.766 9.060
Al 18.628 0.405 17.612
Al 9.542 -1.326 6.821
Al 7.960 -0.210 15.371
Al 6.941 -4.732 2.283
Al 5.349 -3.534 10.845
Al 17.703 -4.138 4.631
Al 15.991 -2.935 13.060
Zn 5.269 -5.273 15.503
Zn 6.932 -6.417 6.989
Zn 14.868 3.266 20.926
Zn 16.541 2.083 12.371
Zn 13.784 -0.931 7.826
Zn 12.083 0.161 16.327
Zn 3.174 -1.829 5.387
Zn 1.486 -0.673 13.925
Zn 0.528 -4.834 0.813
Zn -1.157 -3.656 9.363
Zn 11.316 -4.505 2.994
Zn 9.538 -3.336 11.602
Si 4.977 -4.655 4.910
Si 3.318 -3.512 13.471
Si 16.037 -6.413 6.357
Si 14.325 -5.220 14.896
Si 11.927 0.739 5.645
Si 10.268 1.932 14.215
Si 1.591 -2.110 2.449
Si -0.094 -0.945 10.995
Si 7.946 -3.616 8.687
S 6.020 -7.408 0.523
S 4.295 -6.252 9.091
S 5.719 -2.097 0.236
S 4.018 -0.892 8.805
S 15.944 -1.216 4.982
S 14.275 -0.059 13.514
S 16.884 -4.913 1.248
S 15.209 -3.716 9.833
S 11.219 -0.877 9.866
S 9.560 0.280 18.388
S 12.079 -3.604 6.437
S 10.385 -2.448 15.032
S 0.833 -3.843 6.581
S -0.848 -2.672 15.139
S 0.673 0.443 6.002
S -1.005 1.606 14.560
S 19.340 -3.545 7.520
S 17.645 -2.376 16.056
S 19.986 -1.998 3.282
S 18.325 -0.829 11.847
S 20.165 -6.368 4.085
S 18.481 -5.189 12.641
S 8.979 -6.609 4.169
S 7.321 -5.481 12.843
S 8.782 -2.193 3.540
S 7.107 -1.052 12.244
S 9.605 -4.794 0.114
O 6.196 0.298 3.167
O 4.518 1.514 11.773
O 6.161 -5.043 5.922
O 4.360 -3.899 14.620
O 5.134 -0.058 9.234
O 3.484 1.069 17.756
O 17.096 -0.304 5.031
O 15.424 0.849 13.549
O 16.524 -4.319 9.624
O 14.861 -3.140 18.162
O 16.029 1.730 10.624
O 14.229 2.695 19.253
O 14.526 -6.064 7.004
O 12.816 -4.864 15.535
O 14.902 -0.745 4.029
O 13.187 0.436 12.623
O 15.796 -5.880 0.913
O 14.092 -4.684 9.516
O 3.617 -5.593 5.114
O 1.929 -4.445 13.623
O 4.394 -1.443 0.555
O 2.693 -0.229 9.070
O 4.985 -7.357 -0.568
O 3.306 -6.259 7.959
O 12.566 -1.266 9.390
O 10.968 -0.010 18.007
O 13.153 0.425 6.665
O 11.458 1.553 15.233
O 13.220 -2.787 6.888
O 11.556 -1.646 15.453
O 2.083 -3.065 6.605
O 0.405 -1.897 15.164
O 1.983 -0.170 5.797
O 0.305 0.993 14.359
O 2.763 -2.244 3.556
O 1.075 -1.080 12.101
O 0.155 -1.733 3.209
O -1.529 -0.566 11.761
O -0.190 -3.243 5.674
O -1.870 -2.064 14.236
O -0.459 -0.457 5.622
O -2.138 0.708 14.181
O 10.655 -0.262 5.953
O 8.927 0.982 14.439
O 10.762 -2.939 6.692
O 9.097 -1.742 15.276
O 10.239 -0.852 8.743
O 8.648 0.236 17.204
O 20.690 -3.800 6.999
O 19.002 -2.625 15.552
O 21.084 -2.486 4.105
O 19.451 -1.278 12.659
O 21.293 -5.503 4.479
O 19.607 -4.326 13.038
O 10.174 -5.735 4.164
O 8.578 -4.706 12.797
O 10.087 -2.838 3.365
O 8.408 -1.677 12.066
O 10.608 -4.746 1.173
O 9.099 -3.758 9.802
O 8.209 -4.583 0.674
O 6.454 -3.431 9.404
O 7.922 -6.043 3.258
O 6.309 -4.920 11.882
O 7.660 -3.149 3.128
O 5.970 -1.944 11.829
O 18.745 -2.860 3.481
O 17.121 -1.717 12.062
O 18.845 -5.645 4.275
O 17.157 -4.483 12.837
O 18.324 -3.565 6.387
O 16.628 -2.395 14.938
O 9.729 -6.092 -0.558
O 8.101 -5.085 7.931
O 8.550 -6.649 5.575
O 5.752 2.574 17.391
O 8.713 -0.944 2.783
O 7.053 0.224 11.492
O 19.729 -0.600 3.665
O 18.045 0.566 12.222
O 20.331 -6.763 2.677
O 18.649 -5.592 11.236
O 19.079 -4.544 8.557
O 17.382 -3.392 17.088
O 11.200 0.526 10.422
O 9.456 1.689 18.910
O 12.425 0.619 4.075
O 10.759 1.871 12.630
O 12.027 -4.875 7.258
O 10.339 -3.719 15.835
O 1.069 -5.241 6.063
O -0.616 -4.066 14.620
O 0.451 0.827 7.438
O -1.227 1.978 16.002
O 1.888 -0.826 1.431
O 0.186 0.341 9.981
O 15.058 0.306 8.673
O 13.338 1.454 17.249
O 15.482 -1.367 6.375
O 13.828 -0.172 14.929
O 15.111 -2.508 8.999
O 13.448 -1.334 17.545
O 4.730 -3.077 5.336
O 3.036 -1.927 13.859
O 4.174 -1.264 7.390
O 2.479 -0.123 15.932
O 4.554 -0.255 4.758
O 2.862 0.859 13.297
O 19.237 -2.167 8.123
O 17.549 -1.003 16.686
O 18.684 -0.925 10.386
O 16.988 0.249 18.939
O 18.978 0.516 8.135
O 17.303 1.691 16.695
O 8.121 0.112 6.840
O 6.431 1.203 15.491
O 8.527 -1.947 5.006
O 6.869 -0.723 13.714
O 8.248 -2.425 7.562
O 6.489 -1.320 16.254
O 1.653 -3.569 1.734
O -0.026 -2.409 10.290
O 2.088 -5.143 -0.563
O 0.413 -3.980 7.994
O 1.783 -6.403 2.026
O 0.102 -5.238 10.591
O 12.742 -5.801 2.913
O 11.141 -4.592 11.482
O 12.271 -3.971 5.019
O 10.564 -2.799 13.607
O 12.585 -3.005 2.337
O 10.911 -1.821 10.942
O 6.024 -5.995 1.085
O 4.224 -4.863 9.660
O 5.441 -4.693 3.312
O 3.845 -3.550 11.895
O 5.695 -3.378 1.057
O 3.961 -2.152 9.638
O 16.329 -2.609 4.490
O 14.622 -1.454 13.059
O 16.673 -4.540 2.698
O 15.020 -3.390 11.303
O 16.306 -5.132 5.254
O 14.658 -3.962 13.834